Run 1
# Mg6AlVO8, relaxed, DFT PBE with a Hubbard U
data_Mg6AlVO8
_cell_length_a 8.887
_cell_length_b 4.241
_cell_length_c 4.241
_cell_angle_alpha 90.00
_cell_angle_beta 90.00
_cell_angle_gamma 90.00
_symmetry_space_group_name_H-M 'P 1'
_symmetry_Int_Tables_number 1
_symmetry_space_group_name_Hall 'P 1'
loop_
_atom_site_label
_atom_site_type_symbol
_atom_site_fract_x
_atom_site_fract_y
_atom_site_fract_z
Mg1 Mg 0.000 0.500 0.500
Mg2 Mg 0.500 0.500 0.500
Mg3 Mg 0.251 0.000 0.500
Mg4 Mg 0.749 0.000 0.500
Mg5 Mg 0.251 0.500 0.000
Mg6 Mg 0.749 0.500 0.000
Al1 Al 0.000 0.000 0.000
V1 V 0.500 0.000 0.000
O1 O 0.204 0.000 0.000
O2 O 0.796 0.000 0.000
O3 O 0.247 0.500 0.500
O4 O 0.753 0.500 0.500
O5 O 0.000 0.000 0.500
O6 O 0.500 0.000 0.500
O7 O 0.000 0.500 0.000
O8 O 0.500 0.500 0.000
# Volume   9.99 Å³ per atom



Run 2
# Mg6AlVO8, relaxed, DFT PBE with a Hubbard U
data_Mg6AlVO8
_cell_length_a 8.576
_cell_length_b 4.331
_cell_length_c 4.331
_cell_angle_alpha 90.00
_cell_angle_beta 90.00
_cell_angle_gamma 90.00
_symmetry_space_group_name_H-M 'P 1'
_symmetry_Int_Tables_number 1
_symmetry_space_group_name_Hall 'P 1'
loop_
_atom_site_label
_atom_site_type_symbol
_atom_site_fract_x
_atom_site_fract_y
_atom_site_fract_z
Mg1 Mg 0.500 0.000 0.000
Mg2 Mg 0.500 0.500 0.500
Mg3 Mg 0.252 0.000 0.500
Mg4 Mg 0.748 0.000 0.500
Mg5 Mg 0.252 0.500 0.000
Mg6 Mg 0.748 0.500 0.000
Al1 Al 0.000 0.000 0.000
V1 V 0.000 0.500 0.500
O1 O 0.242 0.000 0.000
O2 O 0.758 0.000 0.000
O3 O 0.255 0.500 0.500
O4 O 0.745 0.500 0.500
O5 O 0.000 0.000 0.500
O6 O 0.500 0.000 0.500
O7 O 0.000 0.500 0.000
O8 O 0.500 0.500 0.000
# Volume   10.06 Å³ per atom



Here is how they stack up, most stable first: run 1, run 2.



Run 1
# MnAlW2O8, relaxed, DFT PBE with a Hubbard U
data_MnAlW2O8
_cell_length_a 5.122
_cell_length_b 5.672
_cell_length_c 9.276
_cell_angle_alpha 90.00
_cell_angle_beta 91.47
_cell_angle_gamma 90.00
_symmetry_space_group_name_H-M 'P 1'
_symmetry_Int_Tables_number 1
_symmetry_space_group_name_Hall 'P 1'
loop_
_atom_site_label
_atom_site_type_symbol
_atom_site_fract_x
_atom_site_fract_y
_atom_site_fract_z
Mn1 Mn 0.251 0.651 0.748
Mn2 Mn 0.751 0.349 0.248
Al1 Al 0.248 0.657 0.245
Al2 Al 0.748 0.343 0.745
W1 W 0.242 0.162 0.996
W2 W 0.742 0.838 0.496
W3 W 0.746 0.829 0.001
W4 W 0.246 0.171 0.501
O1 O 0.378 0.392 0.124
O2 O 0.127 0.396 0.368
O3 O 0.627 0.604 0.868
O4 O 0.878 0.608 0.624
O5 O 0.433 0.890 0.608
O6 O 0.087 0.883 0.893
O7 O 0.587 0.117 0.393
O8 O 0.933 0.110 0.108
O9 O 0.934 0.639 0.145
O10 O 0.566 0.644 0.362
O11 O 0.066 0.356 0.862
O12 O 0.434 0.361 0.645
O13 O 0.418 0.884 0.119
O14 O 0.570 0.120 0.890
O15 O 0.070 0.880 0.390
O16 O 0.918 0.116 0.619
# Volume   11.23 Å³ per atom



Run 2
# MnAlW2O8, relaxed, DFT PBE with a Hubbard U
data_MnAlW2O8
_cell_length_a 5.128
_cell_length_b 5.701
_cell_length_c 9.304
_cell_angle_alpha 90.53
_cell_angle_beta 91.95
_cell_angle_gamma 88.61
_symmetry_space_group_name_H-M 'P 1'
_symmetry_Int_Tables_number 1
_symmetry_space_group_name_Hall 'P 1'
loop_
_atom_site_label
_atom_site_type_symbol
_atom_site_fract_x
_atom_site_fract_y
_atom_site_fract_z
Mn1 Mn 0.750 0.346 0.258
Mn2 Mn 0.250 0.653 0.742
Al1 Al 0.245 0.653 0.265
Al2 Al 0.755 0.347 0.735
W1 W 0.244 0.170 0.999
W2 W 0.756 0.830 0.001
W3 W 0.250 0.162 0.503
W4 W 0.750 0.838 0.497
O1 O 0.373 0.396 0.124
O2 O 0.122 0.393 0.369
O3 O 0.628 0.604 0.876
O4 O 0.878 0.606 0.631
O5 O 0.416 0.889 0.608
O6 O 0.063 0.885 0.891
O7 O 0.584 0.111 0.392
O8 O 0.937 0.115 0.108
O9 O 0.935 0.647 0.138
O10 O 0.566 0.638 0.354
O11 O 0.065 0.353 0.862
O12 O 0.434 0.362 0.646
O13 O 0.429 0.887 0.108
O14 O 0.571 0.113 0.892
O15 O 0.078 0.881 0.382
O16 O 0.922 0.119 0.618
# Volume   11.32 Å³ per atom



Here is how they stack up, most stable first: run 1, run 2.